No. 1
Cd2AgRh | r2SCAN | optimized geometry

space group: Fm-3m (225)

Cell and atoms, written as extended XYZ:
```
4
Lattice="0.0000 3.2672 3.2672 3.2672 0.0000 3.2672 3.2672 3.2672 0.0000" Properties=species:S:1:pos:R:3 pbc="T T T"
Cd 1.6336 1.6336 1.6336
Cd 4.9009 4.9009 4.9009
Ag 0.0000 0.0000 0.0000
Rh 3.2672 3.2672 3.2672
```

***

No. 2
ThCdAg2 | r2SCAN | optimized geometry

space group: Fm-3m (225)

Cell and atoms, written as extended XYZ:
```
4
Lattice="0.0000 3.5611 3.5611 3.5611 0.0000 3.5611 3.5611 3.5611 0.0000" Properties=species:S:1:pos:R:3 pbc="T T T"
Th 0.0000 0.0000 0.0000
Cd 3.5611 3.5611 3.5611
Ag 1.7805 1.7805 1.7805
Ag 5.3416 5.3416 5.3416
```

***

No. 3
ZnCdAg2 | r2SCAN | optimized geometry

space group: P4/mmm (123)

Cell and atoms, written as extended XYZ:
```
4
Lattice="3.1318 0.0000 0.0000 0.0000 3.1318 0.0000 0.0000 0.0000 6.9831" Properties=species:S:1:pos:R:3 pbc="T T T"
Zn 0.0000 0.0000 0.0000
Cd 0.0000 0.0000 3.4915
Ag 1.5659 1.5659 1.5561
Ag 1.5659 1.5659 5.4270
```

***

No. 4
ZrCdAg2 | r2SCAN | optimized geometry

space group: Fm-3m (225)

Cell and atoms, written as extended XYZ:
```
4
Lattice="0.0000 3.3619 3.3619 3.3619 0.0000 3.3619 3.3619 3.3619 0.0000" Properties=species:S:1:pos:R:3 pbc="T T T"
Zr 0.0000 0.0000 0.0000
Cd 3.3619 3.3619 3.3619
Ag 1.6809 1.6809 1.6809
Ag 5.0428 5.0428 5.0428
```

***

| no. | formation enthalpy at 0 K (eV per formula unit) | energy (eV per atom) |
| --- | --- | --- |
| 1 | -0.375 | -21.52 |
| 2 | -0.627 | -34.23 |
| 3 | -0.201 | -17.98 |
| 4 | -0.408 | -21.49 |